Material: Bi2Te2WO10
Method: DFT, PBE with a Hubbard U
State: optimized geometry

Properties
DFT formation energy = -1772 meV per atom

CIF file:
```
data_Bi2Te2WO10
_space_group_name_H-M_alt 'C 1 2/c 1'
_space_group_IT_number 15
_cell_length_a 12.686
_cell_length_b 5.708
_cell_length_c 12.481
_cell_angle_alpha 90.00
_cell_angle_beta 91.24
_cell_angle_gamma 90.00
loop_
_space_group_symop_operation_xyz
'x,y,z'
'-x,-y,-z'
'-x,y,-z+1/2'
'x,-y,z+1/2'
'x+1/2,y+1/2,z'
'-x+1/2,-y+1/2,-z'
'-x+1/2,y+1/2,-z+1/2'
'x+1/2,-y+1/2,z+1/2'
loop_
_atom_site_label
_atom_site_fract_x
_atom_site_fract_y
_atom_site_fract_z
_atom_site_occupancy
Bi1 0.091 0.242 0.043 1
Te1 0.191 0.267 0.359 1
W1 0.000 0.177 0.750 1
O1 0.001 0.092 0.901 1
O2 0.075 0.396 0.439 1
O3 0.111 0.377 0.744 1
O4 0.115 0.113 0.245 1
O5 0.217 0.000 0.451 1
```